[1]
The following is a DFT calculation (GGA+U) of a relaxed structure of LiNiO2. Values from VASP.

Space-group type: Imma, No. 74
ΔE_f (meV per atom): -1444
Spin magnetization (μB/f.u.): 1.0
Calculated volume (Å³ per cell): 137.2
Final energy (eV/cell): -77.79

The structure in Quantum ESPRESSO input format:
```
&SYSTEM
  ibrav = 0, nat = 16, ntyp = 3
/
ATOMIC_SPECIES
Li 6.94 Li.upf
Ni 58.69 Ni.upf
O 16.00 O.upf
ATOMIC_POSITIONS crystal
Li 0.500 0.500 0.000
Li 0.000 0.500 0.500
Li 0.500 0.000 0.500
Li 0.500 0.500 0.500
Ni 0.000 0.000 0.000
Ni 0.000 0.500 0.000
Ni 0.500 0.000 0.000
Ni 0.000 0.000 0.500
O 0.028 0.028 0.222
O 0.958 0.458 0.313
O 0.458 0.958 0.313
O 0.972 0.972 0.778
O 0.531 0.531 0.219
O 0.042 0.542 0.687
O 0.542 0.042 0.687
O 0.469 0.469 0.781
CELL_PARAMETERS angstrom
10.048 0.041 0.046
8.418 5.486 0.046
13.447 4.025 2.571
```

***

[2]
The following is a DFT calculation (GGA+U) of a relaxed structure of Li7Ni8O16. Values from VASP.

Space-group type: P-1, No. 2
ΔE_f (meV per atom): -1416
Calculated volume (Å³ per cell): 274.3
Final energy (eV/cell): -151.36

The structure in Quantum ESPRESSO input format:
```
&SYSTEM
  ibrav = 0, nat = 31, ntyp = 3
/
ATOMIC_SPECIES
Li 6.94 Li.upf
Ni 58.69 Ni.upf
O 16.00 O.upf
ATOMIC_POSITIONS crystal
Li 0.500 0.500 0.500
Li 0.757 0.246 0.247
Li 0.366 0.634 0.122
Li 0.243 0.754 0.753
Li 0.877 0.123 0.629
Li 0.123 0.877 0.371
Li 0.634 0.366 0.878
Ni 0.682 0.811 0.566
Ni 0.188 0.308 0.065
Ni 0.435 0.061 0.808
Ni 0.060 0.436 0.689
Ni 0.940 0.564 0.311
Ni 0.565 0.939 0.192
Ni 0.812 0.692 0.935
Ni 0.318 0.189 0.434
O 0.321 0.390 0.789
O 0.818 0.889 0.303
O 0.053 0.225 0.336
O 0.098 0.618 0.042
O 0.534 0.739 0.827
O 0.697 0.011 0.906
O 0.577 0.160 0.529
O 0.805 0.466 0.594
O 0.195 0.534 0.406
O 0.423 0.840 0.471
O 0.303 0.989 0.094
O 0.466 0.261 0.173
O 0.902 0.382 0.958
O 0.947 0.775 0.664
O 0.182 0.111 0.697
O 0.679 0.610 0.211
CELL_PARAMETERS angstrom
-6.359 0.498 0.964
-1.328 -2.471 5.924
-0.639 5.140 5.536
```

***

[3]
The following is a DFT calculation (GGA+U) of a relaxed structure of Li11Ni13O24. Values from VASP.

Space-group type: C2/m, No. 12
ΔE_f (meV per atom): -1458
Spin magnetization (μB/f.u.): 15.0
Calculated volume (Å³ per cell): 411.7
Final energy (eV/cell): -235.34

The structure in Quantum ESPRESSO input format:
```
&SYSTEM
  ibrav = 0, nat = 48, ntyp = 3
/
ATOMIC_SPECIES
Li 6.94 Li.upf
Ni 58.69 Ni.upf
O 16.00 O.upf
ATOMIC_POSITIONS crystal
Li 0.167 0.833 0.500
Li 0.750 0.750 0.753
Li 0.416 0.087 0.748
Li 0.665 0.335 0.000
Li 0.335 0.665 0.000
Li 0.913 0.584 0.252
Li 0.584 0.913 0.252
Li 0.250 0.250 0.247
Li 0.833 0.167 0.500
Li 0.500 0.500 0.500
Li 0.087 0.416 0.748
Ni 0.709 0.041 0.876
Ni 0.291 0.959 0.124
Ni 0.207 0.538 0.377
Ni 0.876 0.876 0.373
Ni 0.462 0.793 0.623
Ni 0.793 0.462 0.623
Ni 0.000 0.000 0.000
Ni 0.041 0.709 0.876
Ni 0.376 0.376 0.873
Ni 0.624 0.624 0.127
Ni 0.959 0.291 0.124
Ni 0.538 0.207 0.377
Ni 0.124 0.124 0.627
O 0.397 0.717 0.303
O 0.053 0.053 0.310
O 0.947 0.947 0.690
O 0.641 0.985 0.548
O 0.985 0.641 0.548
O 0.532 0.849 0.950
O 0.779 0.108 0.189
O 0.108 0.779 0.189
O 0.426 0.426 0.210
O 0.015 0.359 0.452
O 0.359 0.015 0.452
O 0.703 0.703 0.433
O 0.892 0.221 0.811
O 0.221 0.892 0.811
O 0.574 0.574 0.790
O 0.151 0.468 0.050
O 0.468 0.151 0.050
O 0.815 0.815 0.055
O 0.717 0.397 0.303
O 0.603 0.283 0.697
O 0.283 0.603 0.697
O 0.297 0.297 0.567
O 0.185 0.185 0.945
O 0.849 0.532 0.950
CELL_PARAMETERS angstrom
4.345 6.264 0.000
-4.345 6.264 0.000
0.000 6.097 7.561
```

***

[4]
The following is a DFT calculation (GGA+U) of a relaxed structure of LiNiO2. Values from VASP.

ΔE_f (meV per atom): -1476
Spin magnetization (μB/f.u.): 1.0
Calculated volume (Å³ per cell): 137.6
Final energy (eV/cell): -78.29

The structure in Quantum ESPRESSO input format:
```
&SYSTEM
  ibrav = 0, nat = 16, ntyp = 3
/
ATOMIC_SPECIES
Li 6.94 Li.upf
Ni 58.69 Ni.upf
O 16.00 O.upf
ATOMIC_POSITIONS crystal
Li 0.250 0.626 0.125
Li 0.250 0.125 0.625
Li 0.500 0.249 0.250
Li 0.500 0.750 0.750
Ni 0.000 0.500 0.500
Ni 0.750 0.375 0.875
Ni 0.000 0.999 0.000
Ni 0.750 0.876 0.375
O 0.770 0.657 0.116
O 0.770 0.156 0.615
O 0.231 0.846 0.385
O 0.230 0.345 0.885
O 0.520 0.530 0.490
O 0.519 0.029 0.990
O 0.979 0.218 0.259
O 0.979 0.719 0.760
CELL_PARAMETERS angstrom
-3.709 -1.314 0.891
2.412 2.037 3.913
-4.733 5.721 -2.129
```

***

[5]
The following is a DFT calculation (GGA+U) of a relaxed structure of Li2Ni5O7. Values from VASP.

Space-group type: C2/m, No. 12
ΔE_f (meV per atom): -1362
Calculated volume (Å³ per cell): 124.8
Final energy (eV/cell): -68.90

The structure in Quantum ESPRESSO input format:
```
&SYSTEM
  ibrav = 0, nat = 14, ntyp = 3
/
ATOMIC_SPECIES
Li 6.94 Li.upf
Ni 58.69 Ni.upf
O 16.00 O.upf
ATOMIC_POSITIONS crystal
Li 0.567 0.567 0.781
Li 0.433 0.433 0.219
Ni 0.282 0.282 0.644
Ni 0.860 0.860 0.930
Ni 0.140 0.140 0.070
Ni 0.000 0.000 0.500
Ni 0.718 0.718 0.356
O 0.791 0.791 0.638
O 0.068 0.068 0.788
O 0.344 0.344 0.924
O 0.932 0.932 0.212
O 0.656 0.656 0.076
O 0.500 0.500 0.500
O 0.209 0.209 0.362
CELL_PARAMETERS angstrom
2.054 4.653 0.000
-2.054 4.653 0.000
0.000 0.992 6.527
```

***

[6]
The following is a DFT calculation (GGA+U) of a relaxed structure of Li4Ni11O22. Values from VASP.

Space-group type: P-1, No. 2
ΔE_f (meV per atom): -1060
Spin magnetization (μB/f.u.): 4.0
Calculated volume (Å³ per cell): 374.5
Final energy (eV/cell): -176.22

The structure in Quantum ESPRESSO input format:
```
&SYSTEM
  ibrav = 0, nat = 37, ntyp = 3
/
ATOMIC_SPECIES
Li 6.94 Li.upf
Ni 58.69 Ni.upf
O 16.00 O.upf
ATOMIC_POSITIONS crystal
Li 0.307 0.948 0.559
Li 0.154 0.396 0.099
Li 0.846 0.604 0.901
Li 0.693 0.052 0.441
Ni 0.453 0.364 0.633
Ni 0.368 0.098 0.914
Ni 0.632 0.902 0.086
Ni 0.180 0.547 0.452
Ni 0.547 0.636 0.367
Ni 0.090 0.274 0.726
Ni 0.269 0.817 0.180
Ni 0.820 0.453 0.548
Ni 0.731 0.183 0.820
Ni 0.000 0.000 0.000
Ni 0.910 0.726 0.274
O 0.571 0.214 0.574
O 0.613 0.336 0.873
O 0.496 0.031 0.157
O 0.682 0.514 0.296
O 0.232 0.148 0.665
O 0.318 0.486 0.704
O 0.504 0.969 0.843
O 0.224 0.221 0.973
O 0.387 0.664 0.127
O 0.937 0.309 0.486
O 0.317 0.420 0.387
O 0.063 0.691 0.514
O 0.429 0.786 0.426
O 0.957 0.403 0.794
O 0.115 0.853 0.939
O 0.885 0.147 0.061
O 0.043 0.597 0.206
O 0.137 0.950 0.245
O 0.683 0.580 0.613
O 0.863 0.050 0.755
O 0.776 0.779 0.027
O 0.768 0.852 0.335
CELL_PARAMETERS angstrom
7.415 0.000 0.000
-3.084 -6.990 0.000
-2.799 0.169 -7.225
```

***

Question: Which of these has the highest final energy?
Answer: Li2Ni5O7

***

Please write out number 2 again, unchanged.
The following is a DFT calculation (GGA+U) of a relaxed structure of Li7Ni8O16. Values from VASP.

Space-group type: P-1, No. 2
ΔE_f (meV per atom): -1416
Calculated volume (Å³ per cell): 274.3
Final energy (eV/cell): -151.36

The structure in Quantum ESPRESSO input format:
```
&SYSTEM
  ibrav = 0, nat = 31, ntyp = 3
/
ATOMIC_SPECIES
Li 6.94 Li.upf
Ni 58.69 Ni.upf
O 16.00 O.upf
ATOMIC_POSITIONS crystal
Li 0.500 0.500 0.500
Li 0.757 0.246 0.247
Li 0.366 0.634 0.122
Li 0.243 0.754 0.753
Li 0.877 0.123 0.629
Li 0.123 0.877 0.371
Li 0.634 0.366 0.878
Ni 0.682 0.811 0.566
Ni 0.188 0.308 0.065
Ni 0.435 0.061 0.808
Ni 0.060 0.436 0.689
Ni 0.940 0.564 0.311
Ni 0.565 0.939 0.192
Ni 0.812 0.692 0.935
Ni 0.318 0.189 0.434
O 0.321 0.390 0.789
O 0.818 0.889 0.303
O 0.053 0.225 0.336
O 0.098 0.618 0.042
O 0.534 0.739 0.827
O 0.697 0.011 0.906
O 0.577 0.160 0.529
O 0.805 0.466 0.594
O 0.195 0.534 0.406
O 0.423 0.840 0.471
O 0.303 0.989 0.094
O 0.466 0.261 0.173
O 0.902 0.382 0.958
O 0.947 0.775 0.664
O 0.182 0.111 0.697
O 0.679 0.610 0.211
CELL_PARAMETERS angstrom
-6.359 0.498 0.964
-1.328 -2.471 5.924
-0.639 5.140 5.536
```

***

Please write out number 6 again, unchanged.
The following is a DFT calculation (GGA+U) of a relaxed structure of Li4Ni11O22. Values from VASP.

Space-group type: P-1, No. 2
ΔE_f (meV per atom): -1060
Spin magnetization (μB/f.u.): 4.0
Calculated volume (Å³ per cell): 374.5
Final energy (eV/cell): -176.22

The structure in Quantum ESPRESSO input format:
```
&SYSTEM
  ibrav = 0, nat = 37, ntyp = 3
/
ATOMIC_SPECIES
Li 6.94 Li.upf
Ni 58.69 Ni.upf
O 16.00 O.upf
ATOMIC_POSITIONS crystal
Li 0.307 0.948 0.559
Li 0.154 0.396 0.099
Li 0.846 0.604 0.901
Li 0.693 0.052 0.441
Ni 0.453 0.364 0.633
Ni 0.368 0.098 0.914
Ni 0.632 0.902 0.086
Ni 0.180 0.547 0.452
Ni 0.547 0.636 0.367
Ni 0.090 0.274 0.726
Ni 0.269 0.817 0.180
Ni 0.820 0.453 0.548
Ni 0.731 0.183 0.820
Ni 0.000 0.000 0.000
Ni 0.910 0.726 0.274
O 0.571 0.214 0.574
O 0.613 0.336 0.873
O 0.496 0.031 0.157
O 0.682 0.514 0.296
O 0.232 0.148 0.665
O 0.318 0.486 0.704
O 0.504 0.969 0.843
O 0.224 0.221 0.973
O 0.387 0.664 0.127
O 0.937 0.309 0.486
O 0.317 0.420 0.387
O 0.063 0.691 0.514
O 0.429 0.786 0.426
O 0.957 0.403 0.794
O 0.115 0.853 0.939
O 0.885 0.147 0.061
O 0.043 0.597 0.206
O 0.137 0.950 0.245
O 0.683 0.580 0.613
O 0.863 0.050 0.755
O 0.776 0.779 0.027
O 0.768 0.852 0.335
CELL_PARAMETERS angstrom
7.415 0.000 0.000
-3.084 -6.990 0.000
-2.799 0.169 -7.225
```

***

Question: Among the records above, which one has the highest calculated volume?
Answer: Li11Ni13O24